one:
A relaxed structure of U2NiAs2H24O24. Source: the Materials Project, functional GGA+U.

```
U2NiAs2H24O24
1.0
5.095 4.790 1.564
2.078 -3.997 5.635
8.344 -5.636 -5.137
H O Ni As U
24 24 1 2 2
direct
0.177 0.464 0.130
0.282 0.181 0.073
0.436 0.090 0.271
0.099 0.754 0.180
0.823 0.536 0.870
0.172 0.949 0.196
0.530 0.093 0.794
0.626 0.650 0.257
0.564 0.910 0.729
0.470 0.907 0.206
0.901 0.246 0.820
0.718 0.819 0.927
0.828 0.541 0.731
0.731 0.724 0.059
0.452 0.619 0.183
0.802 0.220 0.129
0.198 0.780 0.871
0.269 0.276 0.941
0.652 0.088 0.099
0.348 0.912 0.901
0.828 0.051 0.804
0.374 0.350 0.743
0.172 0.459 0.269
0.548 0.381 0.817
0.541 0.773 0.594
0.810 0.766 0.982
0.939 0.112 0.829
0.283 0.405 0.598
0.190 0.234 0.018
0.213 0.536 0.192
0.258 0.747 0.419
0.228 0.853 0.936
0.089 0.317 0.407
0.717 0.595 0.402
0.203 0.033 0.584
0.911 0.683 0.593
0.433 0.305 0.818
0.772 0.147 0.064
0.577 0.961 0.805
0.567 0.695 0.182
0.805 0.317 0.254
0.459 0.227 0.406
0.061 0.888 0.171
0.797 0.967 0.416
0.742 0.253 0.581
0.787 0.464 0.808
0.195 0.683 0.746
0.423 0.039 0.195
0.000 0.000 0.000
0.740 0.757 0.499
0.260 0.243 0.501
0.772 0.277 0.418
0.228 0.723 0.582
```

***

two:
A relaxed structure of U2NiAs2H24O24. Source: the Materials Project, functional GGA+U.

```
U2NiAs2H24O24
1.0
7.237 0.000 0.000
0.174 7.235 0.000
1.910 1.505 11.055
H Ni O As U
24 1 24 2 2
direct
0.566 0.369 0.324
0.623 0.646 0.727
0.556 0.893 0.233
0.531 0.076 0.299
0.072 0.110 0.249
0.069 0.744 0.685
0.183 0.755 0.388
0.817 0.245 0.612
0.931 0.256 0.315
0.444 0.107 0.767
0.253 0.132 0.612
0.817 0.539 0.366
0.747 0.868 0.388
0.345 0.876 0.407
0.281 0.237 0.479
0.655 0.124 0.593
0.833 0.542 0.227
0.434 0.631 0.676
0.928 0.890 0.751
0.167 0.458 0.773
0.469 0.924 0.701
0.377 0.354 0.273
0.183 0.461 0.634
0.719 0.763 0.521
0.000 0.000 0.500
0.819 0.313 0.753
0.220 0.825 0.449
0.206 0.538 0.695
0.461 0.225 0.905
0.912 0.696 0.091
0.780 0.175 0.551
0.539 0.775 0.095
0.272 0.777 0.918
0.181 0.687 0.247
0.794 0.462 0.305
0.728 0.223 0.082
0.817 0.804 0.451
0.088 0.304 0.909
0.808 0.952 0.901
0.012 0.145 0.328
0.988 0.855 0.672
0.269 0.421 0.089
0.447 0.297 0.335
0.731 0.579 0.911
0.553 0.703 0.665
0.554 0.939 0.311
0.192 0.048 0.099
0.446 0.061 0.689
0.183 0.196 0.549
0.253 0.249 0.001
0.747 0.751 0.999
0.228 0.734 0.082
0.772 0.266 0.918
```

***

two is preferred energetically. Next in line: 0.8 kJ/mol of atoms higher.

***

one:
A relaxed structure of LiMoAsO6. Source: the Materials Project, functional GGA+U.

```
LiMoAsO6
1.0
8.707 0.000 0.000
0.000 5.234 0.000
0.000 0.949 10.456
O Li As Mo
24 4 4 4
direct
0.435 0.392 0.069
0.627 0.773 0.969
0.746 0.244 0.517
0.446 0.541 0.309
0.612 0.957 0.227
0.568 0.821 0.505
0.935 0.608 0.931
0.237 0.499 0.821
0.246 0.756 0.483
0.068 0.179 0.495
0.929 0.068 0.266
0.752 0.891 0.732
0.366 0.871 0.062
0.737 0.501 0.179
0.946 0.459 0.691
0.866 0.129 0.938
0.429 0.932 0.734
0.606 0.351 0.767
0.112 0.043 0.773
0.923 0.678 0.449
0.127 0.227 0.031
0.252 0.109 0.268
0.106 0.649 0.233
0.423 0.322 0.551
0.906 0.311 0.103
0.406 0.689 0.897
0.736 0.966 0.390
0.236 0.034 0.610
0.802 0.842 0.894
0.926 0.378 0.536
0.426 0.622 0.464
0.302 0.158 0.106
0.567 0.677 0.157
0.581 0.118 0.664
0.067 0.323 0.843
0.081 0.882 0.336
```

***

two:
A relaxed structure of LiMoAsO6. Source: the Materials Project, functional GGA+U.

```
LiMoAsO6
1.0
5.006 0.000 0.000
0.000 9.096 0.000
0.000 0.000 9.573
O As Mo Li
24 4 4 4
direct
0.418 0.371 0.750
0.738 0.345 0.516
0.904 0.495 0.755
0.762 0.345 0.016
0.297 0.536 0.504
0.797 0.036 0.996
0.791 0.672 0.524
0.709 0.672 0.024
0.262 0.845 0.484
0.703 0.036 0.496
0.446 0.672 0.766
0.918 0.871 0.750
0.209 0.172 0.476
0.582 0.871 0.250
0.238 0.845 0.984
0.404 0.995 0.745
0.096 0.995 0.245
0.291 0.172 0.976
0.946 0.172 0.734
0.082 0.371 0.250
0.554 0.172 0.234
0.054 0.672 0.266
0.203 0.536 0.004
0.596 0.495 0.255
0.900 0.179 0.552
0.600 0.179 0.052
0.400 0.679 0.948
0.100 0.679 0.448
0.890 0.498 0.161
0.610 0.498 0.661
0.110 0.998 0.839
0.390 0.998 0.339
0.397 0.352 0.379
0.103 0.352 0.879
0.603 0.852 0.621
0.897 0.852 0.121
```

***

one is preferred energetically. Next in line: 1.0 kJ/mol of atoms higher.